1.
# CsOsO3 | Materials Project | PBE | relaxed
# * energy: -6.304 eV/atom
# * crystal system: cubic
# * E_form: -1.32 eV per atom
# * calculated volume: 67 Å³/cell
# * magnetic moment: 0.02 μB per cell
data_CsOsO3
_chemical_formula_sum 'Cs1 Os1 O3'
_cell_length_a 4.0553
_cell_length_b 4.0553
_cell_length_c 4.0553
_cell_angle_alpha 90.00
_cell_angle_beta 90.00
_cell_angle_gamma 90.00
_space_group_name_H-M_alt 'P m -3 m'
_space_group_IT_number 221
_space_group_name_Hall '-P 4 2 3'
loop_
_atom_site_label
_atom_site_type_symbol
_atom_site_fract_x
_atom_site_fract_y
_atom_site_fract_z
Cs1 Cs 0.0000 0.0000 0.0000
Os1 Os 0.5000 0.5000 0.5000
O1 O 0.0000 0.5000 0.5000

2.
# SrCa5N4 | Materials Project | PBE | relaxed
# * energy: -5.132 eV/atom
# * crystal system: orthorhombic
# * E_form: -0.77 eV per atom
# * calculated volume: 401 Å³/cell
# * magnetic moment: 0.00 μB per cell
data_SrCa5N4
_chemical_formula_sum 'Sr2 Ca10 N8'
_cell_length_a 7.6986
_cell_length_b 8.7572
_cell_length_c 5.9539
_cell_angle_alpha 90.00
_cell_angle_beta 90.00
_cell_angle_gamma 90.00
_space_group_name_H-M_alt 'P m m n'
_space_group_IT_number 59
loop_
_space_group_symop_operation_xyz
'x,y,z'
'-x,-y,-z'
'-x+1/2,-y+1/2,z'
'x+1/2,y+1/2,-z'
'x+1/2,-y,-z'
'-x+1/2,y,z'
'-x,y+1/2,-z'
'x,-y+1/2,z'
loop_
_atom_site_label
_atom_site_type_symbol
_atom_site_fract_x
_atom_site_fract_y
_atom_site_fract_z
Sr1 Sr 0.2500 0.2500 0.2276
Ca1 Ca 0.0009 0.5620 0.2466
Ca2 Ca 0.2500 0.7500 0.7576
N1 N 0.0051 0.7500 0.5250
N2 N 0.2500 0.5072 0.9907

3.
# HoBPd3 | Materials Project | PBE | relaxed
# * energy: -5.991 eV/atom
# * crystal system: cubic
# * E_form: -0.63 eV per atom
# * calculated volume: 80 Å³/cell
# * magnetic moment: 0.00 μB per cell
data_HoBPd3
_chemical_formula_sum 'Ho1 B1 Pd3'
_cell_length_a 4.3122
_cell_length_b 4.3122
_cell_length_c 4.3122
_cell_angle_alpha 90.00
_cell_angle_beta 90.00
_cell_angle_gamma 90.00
_space_group_name_H-M_alt 'P m -3 m'
_space_group_IT_number 221
_space_group_name_Hall '-P 4 2 3'
loop_
_atom_site_label
_atom_site_type_symbol
_atom_site_fract_x
_atom_site_fract_y
_atom_site_fract_z
Ho1 Ho 0.0000 0.0000 0.0000
B1 B 0.5000 0.5000 0.5000
Pd1 Pd 0.0000 0.5000 0.5000

4.
# Mg2VCo3S8 | Materials Project | PBE | relaxed
# * energy: -5.454 eV/atom
# * crystal system: monoclinic
# * E_form: -0.98 eV per atom
# * calculated volume: 490 Å³/cell
# * magnetic moment: 4.00 μB per cell
data_Mg2VCo3S8
_chemical_formula_sum 'Mg4 V2 Co6 S16'
_cell_length_a 12.1257
_cell_length_b 7.0405
_cell_length_c 7.0000
_cell_angle_alpha 90.00
_cell_angle_beta 124.89
_cell_angle_gamma 90.00
_space_group_name_H-M_alt 'C 1 2/m 1'
_space_group_IT_number 12
_space_group_name_Hall '-C 2y'
loop_
_atom_site_label
_atom_site_type_symbol
_atom_site_fract_x
_atom_site_fract_y
_atom_site_fract_z
Mg1 Mg 0.1244 0.0000 0.3754
V1 V 0.0000 0.5000 0.0000
Co1 Co 0.0000 0.5000 0.5000
Co2 Co 0.2500 0.2500 0.0000
S1 S 0.0194 0.2784 0.7593
S2 S 0.2310 0.5000 0.7689
S3 S 0.2409 0.5000 0.2022

5.
# Eu3Ti | Materials Project | PBE | relaxed
# * energy: -9.285 eV/atom
# * crystal system: cubic
# * E above lowest polymorph: 4 meV per atom
# * E_form: 0.38 eV per atom
# * calculated volume: 138 Å³/cell
# * magnetic moment: 24.37 μB per cell
data_Eu3Ti
_chemical_formula_sum 'Eu3 Ti1'
_cell_length_a 5.1673
_cell_length_b 5.1673
_cell_length_c 5.1673
_cell_angle_alpha 90.00
_cell_angle_beta 90.00
_cell_angle_gamma 90.00
_space_group_name_H-M_alt 'P m -3 m'
_space_group_IT_number 221
_space_group_name_Hall '-P 4 2 3'
loop_
_atom_site_label
_atom_site_type_symbol
_atom_site_fract_x
_atom_site_fract_y
_atom_site_fract_z
Eu1 Eu 0.0000 0.0000 0.5000
Ti1 Ti 0.5000 0.5000 0.5000

6.
# SrCo2N2 | Materials Project | PBE | relaxed
# * energy: -6.601 eV/atom
# * crystal system: trigonal
# * E_form: -0.23 eV per atom
# * calculated volume: 60 Å³/cell
# * magnetic moment: 0.02 μB per cell
data_SrCo2N2
_chemical_formula_sum 'Sr1 Co2 N2'
_cell_length_a 3.3500
_cell_length_b 3.3500
_cell_length_c 6.1747
_cell_angle_alpha 90.00
_cell_angle_beta 90.00
_cell_angle_gamma 120.00
_space_group_name_H-M_alt 'P -3 m 1'
_space_group_IT_number 164
_space_group_name_Hall '-P 3 2"'
loop_
_atom_site_label
_atom_site_type_symbol
_atom_site_fract_x
_atom_site_fract_y
_atom_site_fract_z
Sr1 Sr 0.0000 0.0000 0.0000
Co1 Co 0.3333 0.6667 0.3810
N1 N 0.3333 0.6667 0.6952